# 1
Computed, not measured: a relaxed structure of La6Mg23C at the r2SCAN level of DFT.

Summary:
The symmetry is Fm-3m, No. 225. For the calculated density, the calculation gives 3.06 Mg/m³. The size of the total moment is 0.05 μB per atom. Its total energy is -0.353 hartree per atom.

abc: 10.257 10.257 10.257
angles: 60.00 60.00 60.00
Atoms (fractional coordinates):
La (0.816, 0.816, 0.184)
La (0.184, 0.816, 0.184)
La (0.816, 0.184, 0.184)
La (0.184, 0.184, 0.816)
La (0.816, 0.184, 0.816)
La (0.184, 0.816, 0.816)
Mg (0.827, 0.827, 0.519)
Mg (0.827, 0.519, 0.827)
Mg (0.519, 0.827, 0.827)
Mg (0.827, 0.827, 0.827)
Mg (0.173, 0.173, 0.481)
Mg (0.173, 0.481, 0.173)
Mg (0.481, 0.173, 0.173)
Mg (0.173, 0.173, 0.173)
Mg (0.620, 0.620, 0.139)
Mg (0.620, 0.139, 0.620)
Mg (0.139, 0.620, 0.620)
Mg (0.620, 0.620, 0.620)
Mg (0.380, 0.380, 0.861)
Mg (0.380, 0.861, 0.380)
Mg (0.861, 0.380, 0.380)
Mg (0.380, 0.380, 0.380)
Mg (0.000, 0.000, 0.500)
Mg (0.500, 0.000, 0.500)
Mg (0.000, 0.500, 0.500)
Mg (0.500, 0.500, 0.000)
Mg (0.000, 0.500, 0.000)
Mg (0.500, 0.000, 0.000)
Mg (0.500, 0.500, 0.500)
C (0.000, 0.000, 0.000)

---

# 2
Computed, not measured: a relaxed structure of LuMnRh2 at the r2SCAN level of DFT.

Summary:
The symmetry is Fm-3m, No. 225. For the calculated density, the calculation gives 11.20 Mg/m³. The size of the total moment is 1.14 μB per atom. Its total energy is -0.958 hartree per atom.

abc: 4.504 4.504 4.504
angles: 60.00 60.00 60.00
Atoms (fractional coordinates):
Lu (0.500, 0.500, 0.500)
Mn (0.000, 0.000, 0.000)
Rh (0.250, 0.250, 0.250)
Rh (0.750, 0.750, 0.750)

---

# 3
Computed, not measured: a relaxed structure of Cs2ErCl5 at the r2SCAN level of DFT.

Summary:
The symmetry is Pnma, No. 62. For the calculated density, the calculation gives 3.74 Mg/m³. The size of the total moment is 0.00 μB per atom. Its total energy is -0.618 hartree per atom.

abc: 7.444 9.527 15.290
angles: 90.00 90.00 90.00
Atoms (fractional coordinates):
Cs (0.250, 0.665, 0.916)
Cs (0.750, 0.335, 0.084)
Cs (0.750, 0.835, 0.416)
Cs (0.250, 0.165, 0.584)
Cs (0.250, 0.973, 0.211)
Cs (0.750, 0.027, 0.789)
Cs (0.750, 0.527, 0.711)
Cs (0.250, 0.473, 0.289)
Er (0.250, 0.678, 0.565)
Er (0.750, 0.322, 0.435)
Er (0.750, 0.822, 0.065)
Er (0.250, 0.178, 0.935)
Cl (0.250, 0.519, 0.701)
Cl (0.750, 0.481, 0.299)
Cl (0.750, 0.981, 0.201)
Cl (0.250, 0.019, 0.799)
Cl (0.503, 0.835, 0.619)
Cl (0.497, 0.165, 0.381)
Cl (0.497, 0.665, 0.119)
Cl (0.003, 0.165, 0.381)
Cl (0.503, 0.335, 0.881)
Cl (0.997, 0.835, 0.619)
Cl (0.997, 0.335, 0.881)
Cl (0.003, 0.665, 0.119)
Cl (0.250, 0.790, 0.409)
Cl (0.750, 0.210, 0.591)
Cl (0.750, 0.710, 0.909)
Cl (0.250, 0.290, 0.091)
Cl (0.000, 0.500, 0.500)
Cl (0.000, 0.000, 0.000)
Cl (0.500, 0.500, 0.500)
Cl (0.500, 0.000, 0.000)

---

# 4
Computed, not measured: a relaxed structure of PuSb at the r2SCAN level of DFT.

Summary:
The symmetry is Fm-3m, No. 225. For the calculated density, the calculation gives 9.72 Mg/m³. The size of the total moment is 2.50 μB per atom. Its total energy is -2.097 hartree per atom.

abc: 4.454 4.454 4.454
angles: 60.00 60.00 60.00
Atoms (fractional coordinates):
Pu (0.000, 0.000, 0.000)
Sb (0.500, 0.500, 0.500)

---

# 5
Computed, not measured: a relaxed structure of PrAl8Fe4 at the r2SCAN level of DFT.

Summary:
The symmetry is I4/mmm, No. 139. For the calculated density, the calculation gives 4.94 Mg/m³. The size of the total moment is 0.56 μB per atom. Its total energy is -0.411 hartree per atom.

abc: 5.007 6.724 6.724
angles: 97.98 68.13 111.87
Atoms (fractional coordinates):
Pr (0.000, 0.000, 0.000)
Al (0.500, 0.227, 0.227)
Al (0.274, 0.773, 0.227)
Al (0.000, 0.345, 0.345)
Al (0.655, 0.655, 0.345)
Al (0.345, 0.345, 0.655)
Al (0.000, 0.655, 0.655)
Al (0.726, 0.227, 0.773)
Al (0.500, 0.773, 0.773)
Fe (0.000, 0.500, 0.000)
Fe (0.500, 0.500, 0.000)
Fe (0.000, 0.000, 0.500)
Fe (0.500, 0.000, 0.500)

---

# 6
Computed, not measured: a relaxed structure of HfO2 at the r2SCAN level of DFT.

Summary:
The symmetry is P4_2/nmc, No. 137. For the calculated density, the calculation gives 10.68 Mg/m³. The size of the total moment is 0.00 μB per atom. Its total energy is -0.841 hartree per atom.

abc: 3.558 3.558 5.172
angles: 90.00 90.00 90.00
Atoms (fractional coordinates):
Hf (0.500, 0.500, 0.500)
Hf (0.000, 0.000, 0.000)
O (0.000, 0.500, 0.697)
O (0.500, 0.000, 0.803)
O (0.500, 0.000, 0.303)
O (0.000, 0.500, 0.197)

---

# 7
Computed, not measured: a relaxed structure of Rb2SnHgTe4 at the r2SCAN level of DFT.

Summary:
The symmetry is I-42m, No. 121. For the calculated density, the calculation gives 5.54 Mg/m³. The size of the total moment is 0.00 μB per atom. Its total energy is -0.961 hartree per atom.

abc: 7.351 7.351 7.351
angles: 105.11 105.11 118.61
Atoms (fractional coordinates):
Rb (0.500, 0.000, 0.500)
Rb (0.000, 0.500, 0.500)
Sn (0.500, 0.500, 0.000)
Hg (0.000, 0.000, 0.000)
Te (0.907, 0.907, 0.338)
Te (0.568, 0.568, 0.662)
Te (0.432, 0.093, 0.000)
Te (0.093, 0.432, 0.000)

---

# 8
Computed, not measured: a relaxed structure of ReTc3 at the r2SCAN level of DFT.

Summary:
The symmetry is P6_3/mmc, No. 194. For the calculated density, the calculation gives 13.86 Mg/m³. The size of the total moment is 0.00 μB per atom. Its total energy is -1.197 hartree per atom.

abc: 5.492 5.492 4.406
angles: 90.00 90.00 120.00
Atoms (fractional coordinates):
Re (0.333, 0.667, 0.750)
Re (0.667, 0.333, 0.250)
Tc (0.167, 0.334, 0.250)
Tc (0.666, 0.833, 0.250)
Tc (0.167, 0.833, 0.250)
Tc (0.833, 0.666, 0.750)
Tc (0.334, 0.167, 0.750)
Tc (0.833, 0.167, 0.750)

---

# 9
Computed, not measured: a relaxed structure of TbGa2Co3 at the r2SCAN level of DFT.

Summary:
The symmetry is Cmmm, No. 65. For the calculated density, the calculation gives 8.94 Mg/m³. The size of the total moment is 0.41 μB per atom. Its total energy is -0.586 hartree per atom.

abc: 5.191 5.181 3.787
angles: 90.00 90.00 119.94
Atoms (fractional coordinates):
Tb (0.000, 0.000, 0.000)
Ga (0.666, 0.333, 0.000)
Ga (0.334, 0.667, 0.000)
Co (0.500, 0.500, 0.500)
Co (0.000, 0.500, 0.500)
Co (0.500, 0.000, 0.500)

---

# 10
Computed, not measured: a relaxed structure of Pr3Nd at the r2SCAN level of DFT.

Summary:
The symmetry is I4/mmm, No. 139. For the calculated density, the calculation gives 6.49 Mg/m³. The size of the total moment is 0.00 μB per atom. Its total energy is -1.080 hartree per atom.

abc: 6.428 6.428 6.428
angles: 131.71 131.71 70.69
Atoms (fractional coordinates):
Pr (0.750, 0.250, 0.500)
Pr (0.250, 0.750, 0.500)
Pr (0.500, 0.500, 0.000)
Nd (0.000, 0.000, 0.000)

---

# 11
Computed, not measured: a relaxed structure of TbCo5 at the r2SCAN level of DFT.

Summary:
The symmetry is Cmmm, No. 65. For the calculated density, the calculation gives 9.07 Mg/m³. The size of the total moment is 1.33 μB per atom. Its total energy is -0.600 hartree per atom.

abc: 4.933 4.933 3.871
angles: 90.00 90.00 118.19
Atoms (fractional coordinates):
Tb (0.000, 0.000, 0.000)
Co (0.000, 0.500, 0.500)
Co (0.327, 0.673, 0.000)
Co (0.673, 0.327, 0.000)
Co (0.500, 0.000, 0.500)
Co (0.500, 0.500, 0.500)

---

# 12
Computed, not measured: a relaxed structure of Tb2Se3 at the r2SCAN level of DFT.

Summary:
The symmetry is Pnma, No. 62. For the calculated density, the calculation gives 7.44 Mg/m³. The size of the total moment is 0.00 μB per atom. Its total energy is -0.855 hartree per atom.

abc: 4.033 11.007 11.152
angles: 90.00 90.00 90.00
Atoms (fractional coordinates):
Tb (0.250, 0.187, 0.488)
Tb (0.750, 0.813, 0.512)
Tb (0.750, 0.687, 0.012)
Tb (0.250, 0.313, 0.988)
Tb (0.250, 0.998, 0.807)
Tb (0.750, 0.002, 0.193)
Tb (0.750, 0.498, 0.693)
Tb (0.250, 0.502, 0.307)
Se (0.250, 0.305, 0.726)
Se (0.750, 0.695, 0.274)
Se (0.750, 0.805, 0.774)
Se (0.250, 0.195, 0.226)
Se (0.250, 0.626, 0.545)
Se (0.750, 0.374, 0.455)
Se (0.750, 0.126, 0.955)
Se (0.250, 0.874, 0.045)
Se (0.250, 0.556, 0.881)
Se (0.750, 0.444, 0.119)
Se (0.750, 0.056, 0.619)
Se (0.250, 0.944, 0.381)

---

# 13
Computed, not measured: a relaxed structure of U8FeS17 at the r2SCAN level of DFT.

Summary:
The symmetry is C2/m, No. 12. For the calculated density, the calculation gives 7.31 Mg/m³. The size of the total moment is 0.62 μB per atom. Its total energy is -1.180 hartree per atom.

abc: 7.870 7.870 10.329
angles: 80.71 80.71 64.92
Atoms (fractional coordinates):
U (0.795, 0.795, 0.455)
U (0.813, 0.300, 0.291)
U (0.684, 0.684, 0.980)
U (0.205, 0.205, 0.545)
U (0.187, 0.700, 0.709)
U (0.316, 0.316, 0.020)
U (0.700, 0.187, 0.709)
U (0.300, 0.813, 0.291)
Fe (0.000, 0.000, 0.000)
S (0.520, 0.520, 0.832)
S (0.944, 0.318, 0.024)
S (0.209, 0.209, 0.278)
S (0.431, 0.824, 0.534)
S (0.791, 0.791, 0.722)
S (0.056, 0.682, 0.976)
S (0.824, 0.431, 0.534)
S (0.697, 0.697, 0.244)
S (0.055, 0.055, 0.779)
S (0.682, 0.056, 0.976)
S (0.945, 0.945, 0.221)
S (0.318, 0.944, 0.024)
S (0.480, 0.480, 0.168)
S (0.569, 0.176, 0.466)
S (0.000, 0.000, 0.500)
S (0.176, 0.569, 0.466)
S (0.303, 0.303, 0.756)

---

# 14
Computed, not measured: a relaxed structure of Nd10S19 at the r2SCAN level of DFT.

Summary:
The symmetry is P4_2/n, No. 86. For the calculated density, the calculation gives 5.23 Mg/m³. The size of the total moment is 0.00 μB per atom. Its total energy is -0.643 hartree per atom.

abc: 8.965 8.965 16.208
angles: 90.00 90.00 90.00
Atoms (fractional coordinates):
Nd (0.348, 0.459, 0.377)
Nd (0.750, 0.250, 0.886)
Nd (0.146, 0.056, 0.897)
Nd (0.444, 0.146, 0.603)
Nd (0.652, 0.541, 0.623)
Nd (0.152, 0.041, 0.377)
Nd (0.056, 0.354, 0.603)
Nd (0.541, 0.848, 0.877)
Nd (0.944, 0.646, 0.397)
Nd (0.750, 0.250, 0.386)
Nd (0.354, 0.444, 0.897)
Nd (0.959, 0.652, 0.877)
Nd (0.041, 0.348, 0.123)
Nd (0.854, 0.944, 0.103)
Nd (0.459, 0.152, 0.123)
Nd (0.848, 0.959, 0.623)
Nd (0.250, 0.750, 0.614)
Nd (0.646, 0.556, 0.103)
Nd (0.556, 0.854, 0.397)
Nd (0.250, 0.750, 0.114)
S (0.148, 0.053, 0.562)
S (0.250, 0.750, 0.434)
S (0.421, 0.612, 0.750)
S (0.549, 0.848, 0.574)
S (0.951, 0.652, 0.574)
S (0.530, 0.302, 0.751)
S (0.250, 0.750, 0.934)
S (0.030, 0.802, 0.249)
S (0.470, 0.698, 0.249)
S (0.198, 0.530, 0.749)
S (0.612, 0.079, 0.750)
S (0.750, 0.250, 0.066)
S (0.970, 0.198, 0.751)
S (0.049, 0.348, 0.426)
S (0.698, 0.030, 0.251)
S (0.388, 0.921, 0.250)
S (0.579, 0.388, 0.250)
S (0.352, 0.447, 0.562)
S (0.802, 0.470, 0.251)
S (0.750, 0.750, 0.750)
S (0.553, 0.852, 0.062)
S (0.652, 0.549, 0.926)
S (0.079, 0.888, 0.750)
S (0.348, 0.451, 0.074)
S (0.152, 0.049, 0.074)
S (0.302, 0.970, 0.749)
S (0.852, 0.947, 0.438)
S (0.848, 0.951, 0.926)
S (0.750, 0.250, 0.566)
S (0.112, 0.579, 0.250)
S (0.648, 0.553, 0.438)
S (0.888, 0.421, 0.750)
S (0.947, 0.648, 0.062)
S (0.250, 0.250, 0.250)
S (0.921, 0.112, 0.250)
S (0.053, 0.352, 0.938)
S (0.451, 0.152, 0.426)
S (0.447, 0.148, 0.938)

---

# 15
Computed, not measured: a relaxed structure of Cs2SmCuCl6 at the r2SCAN level of DFT.

Summary:
The symmetry is Fm-3m, No. 225. For the calculated density, the calculation gives 3.97 Mg/m³. The size of the total moment is 0.00 μB per atom. Its total energy is -0.544 hartree per atom.

abc: 7.426 7.426 7.426
angles: 60.00 60.00 60.00
Atoms (fractional coordinates):
Cs (0.750, 0.750, 0.750)
Cs (0.250, 0.250, 0.250)
Sm (0.000, 0.000, 0.000)
Cu (0.500, 0.500, 0.500)
Cl (0.743, 0.257, 0.257)
Cl (0.257, 0.257, 0.743)
Cl (0.257, 0.743, 0.743)
Cl (0.257, 0.743, 0.257)
Cl (0.743, 0.257, 0.743)
Cl (0.743, 0.743, 0.257)

---

# 16
Computed, not measured: a relaxed structure of NdBr2 at the r2SCAN level of DFT.

Summary:
The symmetry is Pnma, No. 62. For the calculated density, the calculation gives 5.03 Mg/m³. The size of the total moment is 0.00 μB per atom. Its total energy is -0.755 hartree per atom.

abc: 4.040 6.887 14.422
angles: 90.00 90.00 90.00
Atoms (fractional coordinates):
Nd (0.250, 0.744, 0.000)
Nd (0.750, 0.256, 0.000)
Nd (0.750, 0.756, 0.500)
Nd (0.250, 0.244, 0.500)
Br (0.250, 0.584, 0.628)
Br (0.750, 0.416, 0.372)
Br (0.750, 0.916, 0.128)
Br (0.250, 0.084, 0.872)
Br (0.250, 0.413, 0.132)
Br (0.750, 0.587, 0.868)
Br (0.750, 0.087, 0.632)
Br (0.250, 0.913, 0.368)

---

# 17
Computed, not measured: a relaxed structure of UTcC2 at the r2SCAN level of DFT.

Summary:
The symmetry is Pnma, No. 62. For the calculated density, the calculation gives 12.16 Mg/m³. The size of the total moment is 0.27 μB per atom. Its total energy is -1.167 hartree per atom.

abc: 3.191 5.628 10.956
angles: 90.00 90.00 90.00
Atoms (fractional coordinates):
U (0.250, 0.082, 0.858)
U (0.250, 0.582, 0.642)
U (0.750, 0.918, 0.142)
U (0.750, 0.418, 0.358)
Tc (0.250, 0.422, 0.102)
Tc (0.250, 0.922, 0.398)
Tc (0.750, 0.578, 0.898)
Tc (0.750, 0.078, 0.602)
C (0.250, 0.162, 0.242)
C (0.250, 0.662, 0.258)
C (0.750, 0.838, 0.758)
C (0.750, 0.338, 0.742)
C (0.250, 0.741, 0.993)
C (0.250, 0.241, 0.507)
C (0.750, 0.259, 0.007)
C (0.750, 0.759, 0.493)

---

# 18
Computed, not measured: a relaxed structure of Ba3Sr at the r2SCAN level of DFT.

Summary:
The polymorph energy (0 for the lowest one) is 0.0000 eV per atom. The symmetry is P6_3/mmc, No. 194. For the calculated density, the calculation gives 3.21 Mg/m³. The size of the total moment is 0.02 μB per atom. Its total energy is -0.870 hartree per atom.

abc: 9.089 9.089 7.229
angles: 90.00 90.00 120.00
Atoms (fractional coordinates):
Ba (0.169, 0.338, 0.250)
Ba (0.662, 0.831, 0.250)
Ba (0.169, 0.831, 0.250)
Ba (0.831, 0.662, 0.750)
Ba (0.338, 0.169, 0.750)
Ba (0.831, 0.169, 0.750)
Sr (0.333, 0.667, 0.750)
Sr (0.667, 0.333, 0.250)